Entry 1:
Density functional theory data (PBE) for an optimized crystal structure of La5B2N6.

a = 6.549 Å, b = 6.549 Å, c = 9.063 Å
α = 104.95°, β = 104.95°, γ = 32.88°
Fractional positions:
La (0.000, 0.000, 0.000)
La (0.308, 0.308, 0.181)
La (0.375, 0.375, 0.625)
La (0.625, 0.625, 0.375)
La (0.692, 0.692, 0.819)
B (0.055, 0.055, 0.589)
B (0.945, 0.945, 0.411)
N (0.026, 0.026, 0.737)
N (0.171, 0.171, 0.583)
N (0.344, 0.344, 0.922)
N (0.656, 0.656, 0.078)
N (0.829, 0.829, 0.417)
N (0.974, 0.974, 0.263)

Results
As for the calculated formation energy: -1513.1 meV/atom. The total energy after the MP2020 corrections comes out at -8.287 eV per atom. The raw total energy is -8.120 eV/atom.

=====

Entry 2:
Density functional theory data (PBE) for an optimized crystal structure of LaBN2.

a = 6.649 Å, b = 6.949 Å, c = 7.821 Å
α = 105.91°, β = 90.58°, γ = 116.15°
Fractional positions:
La (0.032, 0.282, 0.078)
La (0.038, 0.285, 0.562)
La (0.442, 0.166, 0.798)
La (0.558, 0.834, 0.202)
La (0.962, 0.715, 0.438)
La (0.968, 0.718, 0.922)
B (0.234, 0.081, 0.275)
B (0.398, 0.710, 0.828)
B (0.398, 0.723, 0.514)
B (0.602, 0.277, 0.486)
B (0.602, 0.290, 0.172)
B (0.766, 0.919, 0.725)
N (0.014, 0.018, 0.751)
N (0.261, 0.590, 0.340)
N (0.265, 0.554, 0.921)
N (0.273, 0.717, 0.672)
N (0.353, 0.142, 0.457)
N (0.355, 0.133, 0.121)
N (0.645, 0.867, 0.879)
N (0.647, 0.858, 0.543)
N (0.727, 0.283, 0.328)
N (0.735, 0.446, 0.079)
N (0.739, 0.410, 0.660)
N (0.986, 0.982, 0.249)

Results
As for the calculated formation energy: -1558.1 meV/atom. The total energy after the MP2020 corrections comes out at -8.630 eV per atom. The raw total energy is -8.450 eV/atom.

=====

Entry 3:
Density functional theory data (PBE) for an optimized crystal structure of La3B2N5.

a = 9.701 Å, b = 14.835 Å, c = 7.657 Å
α = 90.00°, β = 90.00°, γ = 90.00°
Fractional positions:
La (0.005, 0.110, 0.123)
La (0.005, 0.390, 0.623)
La (0.011, 0.112, 0.630)
La (0.011, 0.388, 0.130)
La (0.298, 0.194, 0.878)
La (0.298, 0.306, 0.378)
La (0.318, 0.534, 0.138)
La (0.318, 0.966, 0.638)
La (0.325, 0.530, 0.617)
La (0.325, 0.970, 0.117)
La (0.327, 0.747, 0.877)
La (0.327, 0.753, 0.377)
La (0.673, 0.247, 0.623)
La (0.673, 0.253, 0.123)
La (0.675, 0.030, 0.883)
La (0.675, 0.470, 0.383)
La (0.682, 0.034, 0.362)
La (0.682, 0.466, 0.862)
La (0.702, 0.694, 0.622)
La (0.702, 0.806, 0.122)
La (0.989, 0.612, 0.870)
La (0.989, 0.888, 0.370)
La (0.995, 0.610, 0.377)
La (0.995, 0.890, 0.877)
B (0.094, 0.748, 0.624)
B (0.094, 0.752, 0.124)
B (0.230, 0.106, 0.376)
B (0.230, 0.394, 0.876)
B (0.441, 0.142, 0.534)
B (0.441, 0.146, 0.220)
B (0.441, 0.354, 0.720)
B (0.441, 0.358, 0.034)
B (0.559, 0.642, 0.966)
B (0.559, 0.646, 0.280)
B (0.559, 0.854, 0.780)
B (0.559, 0.858, 0.466)
B (0.770, 0.606, 0.124)
B (0.770, 0.894, 0.624)
B (0.906, 0.248, 0.876)
B (0.906, 0.252, 0.376)
N (0.056, 0.236, 0.878)
N (0.056, 0.264, 0.378)
N (0.137, 0.029, 0.376)
N (0.137, 0.471, 0.876)
N (0.156, 0.021, 0.868)
N (0.156, 0.479, 0.368)
N (0.161, 0.662, 0.122)
N (0.161, 0.838, 0.622)
N (0.185, 0.667, 0.628)
N (0.185, 0.833, 0.128)
N (0.288, 0.138, 0.546)
N (0.288, 0.140, 0.209)
N (0.288, 0.360, 0.709)
N (0.288, 0.362, 0.046)
N (0.473, 0.601, 0.839)
N (0.473, 0.609, 0.412)
N (0.473, 0.891, 0.912)
N (0.473, 0.899, 0.339)
N (0.493, 0.686, 0.122)
N (0.493, 0.814, 0.622)
N (0.507, 0.186, 0.378)
N (0.507, 0.314, 0.878)
N (0.527, 0.101, 0.661)
N (0.527, 0.109, 0.088)
N (0.527, 0.391, 0.588)
N (0.527, 0.399, 0.161)
N (0.712, 0.638, 0.954)
N (0.712, 0.640, 0.291)
N (0.712, 0.860, 0.791)
N (0.712, 0.862, 0.454)
N (0.815, 0.167, 0.872)
N (0.815, 0.333, 0.372)
N (0.839, 0.162, 0.378)
N (0.839, 0.338, 0.878)
N (0.844, 0.521, 0.632)
N (0.844, 0.979, 0.132)
N (0.863, 0.529, 0.124)
N (0.863, 0.971, 0.624)
N (0.944, 0.736, 0.622)
N (0.944, 0.764, 0.122)

Results
As for the calculated formation energy: -1580.0 meV/atom. The total energy after the MP2020 corrections comes out at -8.565 eV per atom. The raw total energy is -8.384 eV/atom.

=====

Entry 4:
Density functional theory data (PBE) for an optimized crystal structure of La3B2N4.

a = 6.622 Å, b = 6.622 Å, c = 6.622 Å
α = 148.08°, β = 122.03°, γ = 67.72°
Fractional positions:
La (0.000, 0.000, 0.000)
La (0.299, 0.799, 0.500)
La (0.701, 0.201, 0.500)
B (0.357, 0.500, 0.857)
B (0.643, 0.500, 0.143)
N (0.127, 0.382, 0.745)
N (0.363, 0.618, 0.745)
N (0.637, 0.382, 0.255)
N (0.873, 0.618, 0.255)

Results
As for the calculated formation energy: -1496.2 meV/atom. The total energy after the MP2020 corrections comes out at -8.331 eV per atom. The raw total energy is -8.170 eV/atom.

=====

Entry 5:
Density functional theory data (PBE) for an optimized crystal structure of La5B4N9.

a = 9.814 Å, b = 12.658 Å, c = 7.719 Å
α = 90.00°, β = 90.00°, γ = 90.00°
Fractional positions:
La (0.005, 0.005, 0.250)
La (0.005, 0.495, 0.750)
La (0.010, 0.250, 0.000)
La (0.010, 0.250, 0.500)
La (0.346, 0.085, 0.004)
La (0.346, 0.085, 0.496)
La (0.346, 0.415, 0.504)
La (0.346, 0.415, 0.996)
La (0.360, 0.678, 0.750)
La (0.360, 0.822, 0.250)
La (0.640, 0.178, 0.750)
La (0.640, 0.322, 0.250)
La (0.654, 0.585, 0.004)
La (0.654, 0.585, 0.496)
La (0.654, 0.915, 0.504)
La (0.654, 0.915, 0.996)
La (0.990, 0.750, 0.000)
La (0.990, 0.750, 0.500)
La (0.995, 0.505, 0.250)
La (0.995, 0.995, 0.750)
B (0.226, 0.629, 0.094)
B (0.226, 0.629, 0.406)
B (0.226, 0.871, 0.594)
B (0.226, 0.871, 0.906)
B (0.245, 0.241, 0.750)
B (0.245, 0.259, 0.250)
B (0.434, 0.585, 0.250)
B (0.434, 0.915, 0.750)
B (0.566, 0.085, 0.250)
B (0.566, 0.415, 0.750)
B (0.755, 0.741, 0.750)
B (0.755, 0.759, 0.250)
B (0.774, 0.129, 0.094)
B (0.774, 0.129, 0.406)
B (0.774, 0.371, 0.594)
B (0.774, 0.371, 0.906)
N (0.141, 0.587, 0.540)
N (0.141, 0.587, 0.960)
N (0.141, 0.913, 0.040)
N (0.141, 0.913, 0.460)
N (0.155, 0.146, 0.750)
N (0.155, 0.354, 0.250)
N (0.159, 0.676, 0.250)
N (0.159, 0.824, 0.750)
N (0.179, 0.153, 0.250)
N (0.179, 0.347, 0.750)
N (0.376, 0.620, 0.083)
N (0.376, 0.620, 0.417)
N (0.376, 0.880, 0.583)
N (0.376, 0.880, 0.917)
N (0.393, 0.226, 0.750)
N (0.393, 0.274, 0.250)
N (0.466, 0.002, 0.250)
N (0.466, 0.498, 0.750)
N (0.534, 0.502, 0.250)
N (0.534, 0.998, 0.750)
N (0.607, 0.726, 0.750)
N (0.607, 0.774, 0.250)
N (0.624, 0.120, 0.083)
N (0.624, 0.120, 0.417)
N (0.624, 0.380, 0.583)
N (0.624, 0.380, 0.917)
N (0.821, 0.653, 0.250)
N (0.821, 0.847, 0.750)
N (0.841, 0.176, 0.250)
N (0.841, 0.324, 0.750)
N (0.845, 0.646, 0.750)
N (0.845, 0.854, 0.250)
N (0.859, 0.087, 0.540)
N (0.859, 0.087, 0.960)
N (0.859, 0.413, 0.040)
N (0.859, 0.413, 0.460)

Results
As for the calculated formation energy: -1559.8 meV/atom. The total energy after the MP2020 corrections comes out at -8.583 eV per atom. The raw total energy is -8.403 eV/atom.

=====

Entry 6:
Density functional theory data (PBE) for an optimized crystal structure of LaNiBN.

a = 3.780 Å, b = 3.780 Å, c = 7.307 Å
α = 90.00°, β = 90.00°, γ = 90.00°
Fractional positions:
La (0.250, 0.250, 0.178)
La (0.750, 0.750, 0.822)
Ni (0.250, 0.750, 0.500)
Ni (0.750, 0.250, 0.500)
B (0.250, 0.250, 0.634)
B (0.750, 0.750, 0.366)
N (0.250, 0.250, 0.832)
N (0.750, 0.750, 0.168)

Results
As for the calculated formation energy: -1044.0 meV/atom. The total energy after the MP2020 corrections comes out at -7.477 eV per atom. The raw total energy is -7.387 eV/atom.